No. 1
AgF2 | the Materials Project database | r²SCAN | optimized geometry; total DFT energy (no corrections) = -10.51 eV per atom; volume = 13.834 Å³/atom; total magnetic moment = 0.00 μB/cell
1.0
-4.3117 2.8083 -0.2197
-0.6178 -1.3721 -5.4128
-3.0738 -4.6009 1.5171
F Ag
8 4
Direct
0.6841 0.1949 0.1287
0.8159 0.6949 0.1287
0.6841 0.3051 0.6287
0.8159 0.8052 0.6287
0.3159 0.8051 0.8713
0.1841 0.1948 0.3713
0.1841 0.3051 0.8713
0.3159 0.6949 0.3713
0.0000 0.5000 0.5000
0.5000 0.0000 0.5000
0.0000 0.0000 0.0000
0.5000 0.5000 0.0000

=====

No. 2
AgIrF7 | the Materials Project database | r²SCAN | optimized geometry; total DFT energy (no corrections) = -12.11 eV per atom; volume = 15.826 Å³/atom; total magnetic moment = 8.91 μB/cell
1.0
7.0407 0.0000 0.0000
0.0000 7.8344 0.0000
0.0000 0.0000 10.3287
F Ag Ir
28 4 4
Direct
0.5642 0.6170 0.3188
0.2500 0.5906 0.8654
0.5651 0.2684 0.9359
0.7500 0.1012 0.7001
0.5651 0.7684 0.5641
0.0651 0.7316 0.0641
0.4349 0.7316 0.0641
0.2500 0.5215 0.4832
0.0642 0.3830 0.6812
0.9358 0.1170 0.1812
0.4349 0.2316 0.4359
0.9349 0.2684 0.9359
0.0642 0.8830 0.8188
0.2500 0.8988 0.2999
0.7500 0.4094 0.1346
0.7500 0.4785 0.5168
0.5642 0.1170 0.1812
0.7500 0.6012 0.7999
0.7500 0.9094 0.3654
0.2500 0.0906 0.6346
0.4358 0.8830 0.8188
0.2500 0.3988 0.2001
0.4358 0.3830 0.6812
0.2500 0.0215 0.0168
0.7500 0.9785 0.9832
0.9358 0.6170 0.3188
0.0651 0.2316 0.4359
0.9349 0.7684 0.5641
0.7500 0.8528 0.7553
0.2500 0.1472 0.2447
0.7500 0.3528 0.7447
0.2500 0.6472 0.2553
0.2500 0.8040 0.9405
0.2500 0.3040 0.5595
0.7500 0.1960 0.0595
0.7500 0.6960 0.4405

=====

No. 3
LiAg5F12 | the Materials Project database | r²SCAN | optimized geometry; total DFT energy (no corrections) = -9.60 eV per atom; volume = 13.570 Å³/atom; total magnetic moment = 1.98 μB/cell
1.0
3.3733 -3.3720 0.0000
3.3733 3.3720 0.0000
0.0000 0.0000 10.7371
F Ag Li
12 5 1
Direct
0.3013 0.6987 0.0000
0.6964 0.3036 0.3238
0.8023 0.8023 0.5000
0.6964 0.3036 0.6762
0.3036 0.6964 0.6762
0.8040 0.8040 0.8465
0.8040 0.8040 0.1535
0.1960 0.1960 0.1535
0.1977 0.1977 0.5000
0.3036 0.6964 0.3238
0.6987 0.3013 0.0000
0.1960 0.1960 0.8465
0.0000 0.0000 0.3236
0.5000 0.5000 0.8433
0.5000 0.5000 0.1567
0.0000 0.0000 0.6764
0.5000 0.5000 0.5000
0.0000 0.0000 0.0000

=====

No. 4
Li2AgF6 | the Materials Project database | r²SCAN | optimized geometry; total DFT energy (no corrections) = -6.95 eV per atom; volume = 11.065 Å³/atom; total magnetic moment = 1.99 μB/cell
1.0
4.7387 0.0003 -0.0003
0.0003 4.7386 -0.0006
-0.0005 -0.0011 8.8695
Ag Li F
2 4 12
Direct
0.0000 0.0000 0.0000
0.5000 0.5000 0.5000
0.5000 0.5001 0.1584
0.5000 0.5000 0.8416
0.9999 0.0000 0.6584
0.0001 0.0001 0.3416
0.8093 0.1907 0.8357
0.8100 0.1902 0.5000
0.3093 0.3093 0.6643
0.6907 0.6907 0.3357
0.1906 0.8093 0.8357
0.8093 0.1907 0.1643
0.6901 0.6902 0.0000
0.6907 0.6907 0.6641
0.3098 0.3098 0.0000
0.1901 0.8099 0.5000
0.1906 0.8093 0.1643
0.3094 0.3093 0.3358

=====

No. 5
MgAgF3 | the Materials Project database | r²SCAN | optimized geometry; total DFT energy (no corrections) = -9.74 eV per atom; volume = 11.897 Å³/atom; total magnetic moment = 0.00 μB/cell
1.0
-1.3757 3.9997 3.5563
-5.2923 0.7801 1.3858
-1.7563 -1.2874 5.0789
Mg F Ag
2 6 2
Direct
0.5000 0.5000 0.5000
0.0000 0.0000 0.0000
0.7500 0.3116 0.1884
0.2500 0.6884 0.8116
0.3116 0.1884 0.7500
0.8116 0.2500 0.6884
0.6884 0.8116 0.2500
0.1884 0.7500 0.3116
0.2500 0.2500 0.2500
0.7500 0.7500 0.7500

=====

No. 6
NaAgF4 | the Materials Project database | r²SCAN | optimized geometry; total DFT energy (no corrections) = -8.11 eV per atom; volume = 12.952 Å³/atom; total magnetic moment = 0.00 μB/cell
1.0
-0.9616 4.6962 2.6183
-5.1410 -0.0240 -1.8451
1.5493 -4.9963 3.8331
F Ag Na
8 2 2
Direct
0.3086 0.8086 0.2563
0.5523 0.6914 0.7437
0.9477 0.4477 0.2563
0.1914 0.0523 0.7437
0.4477 0.3086 0.2563
0.0523 0.5523 0.7437
0.6914 0.1914 0.7437
0.8086 0.9477 0.2563
0.0000 0.5000 0.0000
0.5000 0.0000 0.0000
0.7500 0.7500 0.5000
0.2500 0.2500 0.5000

=====

No. 7
Na2AgF4 | the Materials Project database | r²SCAN | optimized geometry; total DFT energy (no corrections) = -8.13 eV per atom; volume = 13.379 Å³/atom; total magnetic moment = 2.00 μB/cell
1.0
-7.0789 -7.3132 1.4603
0.9573 -0.3003 3.1367
-2.9561 3.6299 3.8481
F Ag Na
8 2 4
Direct
0.1728 0.0376 0.8121
0.5610 0.5739 0.2057
0.0610 0.4261 0.2943
0.9390 0.5739 0.7057
0.4390 0.4261 0.7943
0.6728 0.9624 0.6879
0.8272 0.9624 0.1879
0.3272 0.0376 0.3121
0.0000 0.0000 0.0000
0.5000 0.0000 0.5000
0.3502 0.7492 0.0329
0.8502 0.2508 0.4671
0.1498 0.7492 0.5329
0.6498 0.2508 0.9671

=====

No. 8
Rb2AgPdF6 | the Materials Project database | r²SCAN | optimized geometry; total DFT energy (no corrections) = -11.21 eV per atom; volume = 16.266 Å³/atom; total magnetic moment = 1.00 μB/cell
1.0
-1.6718 -5.8937 -0.1142
-5.8335 -1.5507 1.0527
-3.4837 -2.1082 -4.5785
Ag F Rb Pd
1 6 2 1
Direct
0.5000 0.5000 0.5000
0.2391 0.7609 0.7609
0.7609 0.7609 0.2391
0.7609 0.2391 0.2391
0.7609 0.2391 0.7609
0.2391 0.2391 0.7609
0.2391 0.7609 0.2391
0.2500 0.2500 0.2500
0.7500 0.7500 0.7500
0.0000 0.0000 0.0000